This record from Materials Project describes crystalline NbSe2Br2 at its relaxed geometry. The functional is r2SCAN.

Structure (POSCAR):
```
NbSe2Br2
1.0
-4.1822 2.6344 -4.6025
-2.6957 -3.9940 -4.7777
-7.3597 -1.7717 1.5100
Nb Se Br
2 4 4
direct
0.8753 0.2507 0.9998 Nb
0.1247 0.7493 0.0002 Nb
0.7435 0.0375 0.8713 Se
0.2565 0.9625 0.1287 Se
0.0734 0.0916 0.6851 Se
0.9266 0.9084 0.3149 Se
0.5795 0.6488 0.7791 Br
0.4205 0.3512 0.2209 Br
0.8347 0.5205 0.2203 Br
0.1653 0.4795 0.7797 Br
```

Properties
Theoretical density ... 4.918 g/cm³
Total magnetization ... 0.0 μB per cell
SG ... P-1
DFT formation energy ... -0.89 eV/atom
E ... -16.864 eV per atom
Crystal system ... triclinic